# 1
Li4Mn3O7: optimized geometry, PBE with a Hubbard U.

Lattice parameters (Å, degrees): 3.0043 5.1104 16.9924 89.43 89.02 88.28
Closest atoms and distances in Å follow each position.
Element x y z (fractional)
Li 0.0000 0.0000 0.0000  6 O 2.06-2.26
Li 0.0642 0.3494 0.8619  5 O 2.00-2.23
Li 0.2145 0.0710 0.5718  6 O 2.13-2.19
Li 0.3537 0.7799 0.2861  5 O 2.12-2.15
Li 0.5000 0.5000 0.0000  4 O 2.16-2.20
Li 0.6463 0.2201 0.7139  5 O 2.12-2.15
Li 0.7855 0.9290 0.4282  6 O 2.13-2.19
Li 0.9358 0.6506 0.1381  5 O 2.00-2.23
Mn 0.1320 0.7113 0.7166  4 O 1.92-1.99
Mn 0.2863 0.4291 0.4278  4 O 1.97-1.98
Mn 0.4348 0.1349 0.1373  4 O 1.82-2.02
Mn 0.5652 0.8651 0.8627  4 O 1.82-2.02
Mn 0.7137 0.5709 0.5722  4 O 1.97-1.98
Mn 0.8680 0.2887 0.2834  4 O 1.92-1.99
O 0.0647 0.7042 0.9189  2 Mn 1.95-1.96, 3 Li 2.06-2.16
O 0.0749 0.0048 0.7927  3 Mn 1.99-2.06, 2 Li 2.13-2.15
O 0.1455 0.4065 0.6449  2 Mn 1.97-1.99, 3 Li 2.12-2.13
O 0.2847 0.7319 0.4989  2 Mn 1.97, 3 Li 2.14-2.17
O 0.2908 0.1246 0.3569  2 Mn 1.96-1.98, 3 Li 2.14-2.19
O 0.4295 0.4405 0.2141  2 Mn 1.92-2.04, 1 Li 2.14
O 0.4537 0.8400 0.0782  1 Mn 1.82, 1 Li 2.00
O 0.5463 0.1600 0.9218  1 Mn 1.82, 1 Li 2.00
O 0.5705 0.5595 0.7859  2 Mn 1.92-2.04, 1 Li 2.14
O 0.7092 0.8754 0.6431  2 Mn 1.96-1.98, 3 Li 2.14-2.19
O 0.7153 0.2681 0.5011  2 Mn 1.97, 3 Li 2.14-2.17
O 0.8545 0.5935 0.3551  2 Mn 1.97-1.99, 3 Li 2.12-2.13
O 0.9251 0.9952 0.2073  3 Mn 1.99-2.06, 2 Li 2.13-2.15
O 0.9353 0.2958 0.0811  2 Mn 1.95-1.96, 3 Li 2.06-2.16

Output
**Theoretical density**: 3.880 g cm⁻³
**Space-group type**: P-1
**E**: -6.399 eV per atom

---

# 2
Li4Mn3O8: optimized geometry, PBE with a Hubbard U.

Lattice parameters (Å, degrees): 8.3247 8.3247 8.3247 90.43 90.43 90.43
Closest atoms and distances in Å follow each position.
Element x y z (fractional)
Li 0.0000 0.0000 0.0000  6 O 2.12
Li 0.1112 0.1122 0.6438  3 O 1.85-2.03
Li 0.1122 0.6438 0.1112  3 O 1.85-2.03
Li 0.2239 0.5000 0.7761  4 O 2.06-2.12
Li 0.2694 0.3043 0.5114  3 O 1.92-2.12
Li 0.3043 0.5114 0.2694  3 O 1.92-2.12
Li 0.3562 0.8878 0.8888  3 O 1.85-2.03
Li 0.4886 0.6957 0.7306  3 O 1.92-2.12
Li 0.5000 0.7761 0.2239  4 O 2.06-2.12
Li 0.5114 0.2694 0.3043  3 O 1.92-2.12
Li 0.6438 0.1112 0.1122  3 O 1.85-2.03
Li 0.6957 0.7306 0.4886  3 O 1.92-2.12
Li 0.7306 0.4886 0.6957  3 O 1.92-2.12
Li 0.7761 0.2239 0.5000  4 O 2.06-2.12
Li 0.8878 0.8888 0.3562  3 O 1.85-2.03
Li 0.8888 0.3562 0.8878  3 O 1.85-2.03
Mn 0.0000 0.5064 0.4936  6 O 1.91-1.97
Mn 0.0064 0.2547 0.2500  6 O 1.87-2.01
Mn 0.2421 0.7579 0.5000  6 O 1.90-1.97
Mn 0.2500 0.0064 0.2547  6 O 1.87-2.01
Mn 0.2547 0.2500 0.0064  6 O 1.87-2.01
Mn 0.4936 0.0000 0.5064  6 O 1.91-1.97
Mn 0.5000 0.2421 0.7579  6 O 1.90-1.97
Mn 0.5064 0.4936 0.0000  6 O 1.91-1.97
Mn 0.7453 0.9936 0.7500  6 O 1.87-2.01
Mn 0.7500 0.7453 0.9936  6 O 1.87-2.01
Mn 0.7579 0.5000 0.2421  6 O 1.90-1.97
Mn 0.9936 0.7500 0.7453  6 O 1.87-2.01
O 0.0060 0.7427 0.5075  3 Mn 1.97-1.98, 1 Li 2.01
O 0.0173 0.2784 0.4836  2 Mn 1.91-1.95, 3 Li 2.06-2.12
O 0.0226 0.0308 0.2522  1 Li 1.85, 2 Mn 1.87-1.91
O 0.0307 0.2522 0.0226  1 Li 1.85, 2 Mn 1.87-1.91
O 0.2244 0.7511 0.7329  2 Mn 1.92-1.95, 2 Li 2.03-2.12
O 0.2298 0.5298 0.4923  2 Mn 1.90-1.92, 2 Li 1.92-1.97
O 0.2473 0.2473 0.2473  3 Mn 2.01
O 0.2489 0.7756 0.2671  2 Mn 1.92-1.95, 2 Li 2.03-2.12
O 0.2522 0.0226 0.0307  1 Li 1.85, 2 Mn 1.87-1.91
O 0.2573 0.9939 0.4925  3 Mn 1.97-1.98, 1 Li 2.01
O 0.2671 0.2489 0.7756  2 Mn 1.92-1.95, 2 Li 2.03-2.12
O 0.2784 0.4836 0.0173  2 Mn 1.91-1.95, 3 Li 2.06-2.12
O 0.4702 0.7702 0.5077  2 Mn 1.90-1.92, 2 Li 1.92-1.97
O 0.4836 0.0173 0.2784  2 Mn 1.91-1.95, 3 Li 2.06-2.12
O 0.4923 0.2298 0.5298  2 Mn 1.90-1.92, 2 Li 1.92-1.97
O 0.4925 0.2573 0.9940  3 Mn 1.97-1.98, 1 Li 2.01
O 0.5075 0.0060 0.7427  3 Mn 1.97-1.98, 1 Li 2.01
O 0.5077 0.4702 0.7702  2 Mn 1.90-1.92, 2 Li 1.92-1.97
O 0.5164 0.7216 0.9827  2 Mn 1.91-1.95, 3 Li 2.06-2.12
O 0.5298 0.4923 0.2298  2 Mn 1.90-1.92, 2 Li 1.92-1.97
O 0.7216 0.9827 0.5164  2 Mn 1.91-1.95, 3 Li 2.06-2.12
O 0.7329 0.2244 0.7511  2 Mn 1.92-1.95, 2 Li 2.03-2.12
O 0.7427 0.5075 0.0060  3 Mn 1.97-1.98, 1 Li 2.01
O 0.7478 0.9693 0.9774  1 Li 1.85, 2 Mn 1.87-1.91
O 0.7511 0.7329 0.2244  2 Mn 1.92-1.95, 2 Li 2.03-2.12
O 0.7527 0.7527 0.7527  3 Mn 2.01
O 0.7702 0.5077 0.4702  2 Mn 1.90-1.92, 2 Li 1.92-1.97
O 0.7756 0.2671 0.2489  2 Mn 1.92-1.95, 2 Li 2.03-2.12
O 0.9693 0.9774 0.7478  1 Li 1.85, 2 Mn 1.87-1.91
O 0.9774 0.7478 0.9693  1 Li 1.85, 2 Mn 1.87-1.91
O 0.9827 0.5164 0.7216  2 Mn 1.91-1.95, 3 Li 2.06-2.12
O 0.9940 0.4925 0.2573  3 Mn 1.97-1.98, 1 Li 2.01

Output
**Theoretical density**: 3.691 g cm⁻³
**Space-group type**: R32
**E**: -6.375 eV per atom

---

# 3
Li4Mn5O12: optimized geometry, PBE with a Hubbard U.

Lattice parameters (Å, degrees): 5.8375 5.8375 13.0212 102.78 102.78 89.80
Closest atoms and distances in Å follow each position.
Element x y z (fractional)
Li 0.0000 0.0000 0.0000  6 O 2.07-2.10
Li 0.0000 0.0000 0.5000  6 O 2.07-2.10
Li 0.1187 0.8813 0.7500  4 O 1.93-2.00
Li 0.2144 0.4597 0.9203  4 O 1.95-2.03
Li 0.4597 0.2144 0.4203  4 O 1.95-2.03
Li 0.5403 0.7856 0.5797  4 O 1.95-2.03
Li 0.7856 0.5403 0.0797  4 O 1.95-2.03
Li 0.8813 0.1187 0.2500  4 O 1.93-2.00
Mn 0.0000 0.5000 0.5000  6 O 1.91-1.97
Mn 0.1668 0.6692 0.3363  6 O 1.86-2.02
Mn 0.3310 0.3338 0.1649  6 O 1.88-1.98
Mn 0.3308 0.8332 0.1637  6 O 1.86-2.02
Mn 0.3338 0.3310 0.6649  6 O 1.88-1.98
Mn 0.5000 0.0000 0.0000  6 O 1.91-1.97
Mn 0.6662 0.6690 0.3351  6 O 1.88-1.98
Mn 0.6692 0.1668 0.8363  6 O 1.86-2.02
Mn 0.6690 0.6662 0.8351  6 O 1.88-1.98
Mn 0.8332 0.3308 0.6637  6 O 1.86-2.02
O 0.0790 0.5530 0.6585  3 Mn 1.96-1.97, 1 Li 2.00
O 0.0833 0.1246 0.6688  2 Mn 1.89-1.91, 2 Li 1.93-2.10
O 0.1161 0.5858 0.1738  3 Mn 1.93-2.02, 1 Li 2.03
O 0.1246 0.0833 0.1688  2 Mn 1.89-1.91, 2 Li 1.93-2.10
O 0.2259 0.7253 0.4865  2 Mn 1.86-1.93, 2 Li 1.95-2.07
O 0.2367 0.2744 0.5136  2 Mn 1.88-1.91, 2 Li 1.95-2.07
O 0.2744 0.2367 0.0136  2 Mn 1.88-1.91, 2 Li 1.95-2.07
O 0.2747 0.7741 0.0135  2 Mn 1.86-1.93, 2 Li 1.95-2.07
O 0.4120 0.4430 0.3242  3 Mn 1.95-1.98, 1 Li 2.00
O 0.4142 0.8839 0.3262  3 Mn 1.93-2.02, 1 Li 2.03
O 0.4430 0.4120 0.8242  3 Mn 1.95-1.98, 1 Li 2.00
O 0.4470 0.9210 0.8415  3 Mn 1.96-1.97, 1 Li 2.00
O 0.5530 0.0790 0.1585  3 Mn 1.96-1.97, 1 Li 2.00
O 0.5570 0.5880 0.1758  3 Mn 1.95-1.98, 1 Li 2.00
O 0.5858 0.1161 0.6738  3 Mn 1.93-2.02, 1 Li 2.03
O 0.5880 0.5570 0.6758  3 Mn 1.95-1.98, 1 Li 2.00
O 0.7253 0.2259 0.9865  2 Mn 1.86-1.93, 2 Li 1.95-2.07
O 0.7256 0.7633 0.9864  2 Mn 1.88-1.91, 2 Li 1.95-2.07
O 0.7633 0.7256 0.4864  2 Mn 1.88-1.91, 2 Li 1.95-2.07
O 0.7741 0.2747 0.5135  2 Mn 1.86-1.93, 2 Li 1.95-2.07
O 0.8754 0.9167 0.8312  2 Mn 1.89-1.91, 2 Li 1.93-2.10
O 0.8839 0.4142 0.8262  3 Mn 1.93-2.02, 1 Li 2.03
O 0.9167 0.8754 0.3312  2 Mn 1.89-1.91, 2 Li 1.93-2.10
O 0.9210 0.4470 0.3415  3 Mn 1.96-1.97, 1 Li 2.00

Output
**Theoretical density**: 3.896 g cm⁻³
**Space-group type**: C2/c
**E**: -6.637 eV per atom

---

# 4
Li2MnO3: optimized geometry, PBE with a Hubbard U.

Lattice parameters (Å, degrees): 2.9827 2.9827 14.7050 90.00 90.00 120.00
Closest atoms and distances in Å follow each position.
Element x y z (fractional)
Li 0.0000 0.0000 0.0000  6 O 2.17
Li 0.0000 0.0000 0.5000  6 O 2.13
Li 0.3333 0.6667 0.3527  3 O 1.95
Li 0.6667 0.3333 0.6473  3 O 1.95
Mn 0.3333 0.6667 0.8323  6 O 1.99-2.07
Mn 0.6667 0.3333 0.1677  6 O 1.99-2.07
O 0.0000 0.0000 0.2358  3 Mn 1.99
O 0.0000 0.0000 0.7642  3 Mn 1.99
O 0.3333 0.6667 0.0898  3 Mn 2.07, 3 Li 2.17
O 0.3333 0.6667 0.5856  6 Li 1.95-2.13
O 0.6667 0.3333 0.4144  6 Li 1.95-2.13
O 0.6667 0.3333 0.9102  3 Mn 2.07, 3 Li 2.17

Output
**Theoretical density**: 3.424 g cm⁻³
**Space-group type**: P-3m1
**E**: -5.868 eV per atom

---

Asked for formation energy across the records above, the calculation gives -2.12, -2.09, -2.05, -1.85 eV per atom in order.